1.
DFT (PBE-GGA) results for a relaxed NpH28C12N12O18 crystal.

Computed properties:
ΔH_f (0 K) (eV per atom): -0.9428
VASP energy (eV/f.u.): -462.4
Size of the total moment (Bohr magnetons per cell): 6.04
SG: C2/c, No. 15

abc: 11.678 11.678 12.898
angles: 113.28 113.28 62.78
Fractional coordinates of all 142 atoms:
Np: 0.051 0.949 0.750
Np: 0.949 0.051 0.250
H: 0.007 0.447 0.094
H: 0.029 0.286 0.997
H: 0.046 0.274 0.771
H: 0.068 0.381 0.747
H: 0.119 0.252 0.536
H: 0.144 0.540 0.449
H: 0.170 0.501 0.240
H: 0.171 0.379 0.647
H: 0.218 0.660 0.547
H: 0.252 0.119 0.036
H: 0.265 0.438 0.006
H: 0.268 0.316 0.429
H: 0.274 0.046 0.271
H: 0.286 0.029 0.497
H: 0.316 0.268 0.929
H: 0.331 0.378 0.272
H: 0.340 0.782 0.953
H: 0.378 0.331 0.772
H: 0.379 0.171 0.147
H: 0.381 0.068 0.247
H: 0.410 0.556 0.858
H: 0.417 0.531 0.134
H: 0.438 0.265 0.506
H: 0.444 0.590 0.642
H: 0.447 0.007 0.594
H: 0.460 0.856 0.051
H: 0.469 0.583 0.366
H: 0.499 0.830 0.260
H: 0.501 0.170 0.740
H: 0.531 0.417 0.634
H: 0.540 0.144 0.949
H: 0.553 0.993 0.406
H: 0.556 0.410 0.358
H: 0.562 0.735 0.494
H: 0.583 0.469 0.866
H: 0.590 0.444 0.142
H: 0.619 0.932 0.753
H: 0.621 0.829 0.853
H: 0.622 0.669 0.228
H: 0.660 0.218 0.047
H: 0.669 0.622 0.728
H: 0.684 0.732 0.071
H: 0.714 0.971 0.503
H: 0.726 0.954 0.729
H: 0.732 0.684 0.571
H: 0.735 0.562 0.994
H: 0.748 0.881 0.964
H: 0.782 0.340 0.453
H: 0.829 0.621 0.353
H: 0.830 0.499 0.760
H: 0.856 0.460 0.551
H: 0.881 0.748 0.464
H: 0.932 0.619 0.253
H: 0.954 0.726 0.229
H: 0.971 0.714 0.003
H: 0.993 0.553 0.906
C: 0.008 0.068 0.533
C: 0.019 0.656 0.683
C: 0.068 0.008 0.033
C: 0.158 0.641 0.772
C: 0.176 0.749 0.191
C: 0.193 0.313 0.133
C: 0.251 0.824 0.309
C: 0.313 0.193 0.633
C: 0.341 0.466 0.531
C: 0.344 0.981 0.817
C: 0.359 0.842 0.728
C: 0.466 0.341 0.031
C: 0.534 0.659 0.969
C: 0.641 0.158 0.272
C: 0.656 0.019 0.183
C: 0.659 0.534 0.469
C: 0.687 0.807 0.367
C: 0.749 0.176 0.691
C: 0.807 0.687 0.867
C: 0.824 0.251 0.809
C: 0.842 0.359 0.228
C: 0.932 0.992 0.967
C: 0.981 0.344 0.317
C: 0.992 0.932 0.467
N: 0.066 0.349 0.071
N: 0.188 0.280 0.609
N: 0.226 0.564 0.502
N: 0.236 0.405 0.223
N: 0.280 0.188 0.109
N: 0.338 0.350 0.983
N: 0.349 0.066 0.571
N: 0.350 0.338 0.483
N: 0.405 0.236 0.723
N: 0.436 0.774 0.998
N: 0.448 0.493 0.607
N: 0.493 0.448 0.107
N: 0.507 0.552 0.893
N: 0.552 0.507 0.393
N: 0.564 0.226 0.002
N: 0.595 0.764 0.277
N: 0.650 0.662 0.517
N: 0.651 0.934 0.429
N: 0.662 0.650 0.017
N: 0.720 0.812 0.891
N: 0.764 0.595 0.777
N: 0.774 0.436 0.498
N: 0.812 0.720 0.391
N: 0.934 0.651 0.929
O: 0.006 0.863 0.529
O: 0.024 0.438 0.357
O: 0.035 0.369 0.799
O: 0.036 0.098 0.644
O: 0.041 0.231 0.343
O: 0.052 0.817 0.154
O: 0.098 0.036 0.144
O: 0.137 0.994 0.971
O: 0.182 0.750 0.822
O: 0.183 0.948 0.346
O: 0.231 0.041 0.843
O: 0.237 0.528 0.788
O: 0.237 0.632 0.141
O: 0.250 0.818 0.678
O: 0.368 0.763 0.359
O: 0.369 0.035 0.299
O: 0.438 0.024 0.857
O: 0.472 0.763 0.712
O: 0.528 0.237 0.288
O: 0.562 0.976 0.143
O: 0.631 0.965 0.701
O: 0.632 0.237 0.641
O: 0.750 0.182 0.322
O: 0.763 0.368 0.859
O: 0.763 0.472 0.212
O: 0.769 0.959 0.157
O: 0.817 0.052 0.654
O: 0.818 0.250 0.178
O: 0.863 0.006 0.029
O: 0.902 0.964 0.856
O: 0.948 0.183 0.846
O: 0.959 0.769 0.657
O: 0.964 0.902 0.356
O: 0.965 0.631 0.201
O: 0.976 0.562 0.643
O: 0.994 0.137 0.471

***

2.
DFT (PBE-GGA) results for a relaxed Na3GaSi2GeSO12 crystal.

Computed properties:
ΔH_f (0 K) (eV per atom): -2.3858
VASP energy (eV/f.u.): -125.5
Size of the total moment (Bohr magnetons per cell): 0.00

abc: 8.776 8.776 21.958
angles: 88.78 91.22 119.51
Fractional coordinates of all 120 atoms:
O: 0.450 0.302 0.026
O: 0.154 0.640 0.077
O: 0.817 0.293 0.526
Na: 0.997 0.636 0.248
O: 0.151 0.688 0.471
O: 0.487 0.306 0.744
Si: 0.954 0.336 0.586
O: 0.450 0.164 0.523
O: 0.783 0.969 0.693
O: 0.303 0.484 0.754
Ga: 0.328 0.663 0.520
O: 0.195 0.170 0.088
O: 0.497 0.127 0.644
O: 0.873 0.503 0.144
S: 0.676 0.628 0.583
O: 0.485 0.355 0.137
O: 0.830 0.794 0.311
Si: 0.964 0.626 0.085
O: 0.836 0.550 0.023
Ga: 0.003 0.005 0.353
O: 0.849 0.364 0.921
Si: 0.631 0.959 0.419
Na: 0.003 0.016 0.497
O: 0.116 0.635 0.360
O: 0.163 0.472 0.255
S: 0.342 0.961 0.916
O: 0.523 0.371 0.424
Ga: 0.670 0.338 0.686
O: 0.031 0.217 0.193
Si: 0.708 0.703 0.252
O: 0.540 0.836 0.478
O: 0.871 0.358 0.647
Na: 0.364 0.003 0.748
Si: 0.998 0.713 0.753
O: 0.153 0.496 0.579
Na: 0.984 0.997 0.997
O: 0.365 0.884 0.860
O: 0.861 0.504 0.422
S: 0.039 0.658 0.416
O: 0.830 0.805 0.588
Na: 0.650 0.330 0.331
O: 0.181 0.979 0.914
O: 0.688 0.152 0.748
Si: 0.287 0.002 0.253
S: 0.706 0.991 0.749
Ga: 0.337 0.672 0.020
Ge: 0.313 0.633 0.813
O: 0.171 0.180 0.412
O: 0.021 0.819 0.414
S: 0.009 0.294 0.249
O: 0.150 0.959 0.193
O: 0.698 0.550 0.526
O: 0.206 0.170 0.811
Si: 0.664 0.046 0.086
O: 0.970 0.818 0.087
O: 0.636 0.151 0.421
O: 0.818 0.021 0.804
O: 0.027 0.180 0.910
Na: 0.330 0.302 0.915
O: 0.514 0.646 0.581
O: 0.190 0.704 0.757
Si: 0.374 0.036 0.585
Si: 0.297 0.292 0.752
O: 0.848 0.312 0.248
O: 0.629 0.477 0.924
O: 0.041 0.850 0.693
O: 0.838 0.514 0.745
Na: 0.996 0.366 0.744
O: 0.979 0.182 0.304
O: 0.296 0.810 0.257
Na: 0.031 0.336 0.081
O: 0.360 0.846 0.577
O: 0.962 0.144 0.590
O: 0.308 0.463 0.481
O: 0.164 0.460 0.978
O: 0.204 0.025 0.314
O: 0.820 0.973 0.410
Na: 0.664 0.969 0.581
O: 0.312 0.849 0.971
Na: 0.330 0.033 0.411
O: 0.856 0.038 0.090
Na: 0.670 0.350 0.831
Ge: 0.646 0.300 0.480
O: 0.496 0.139 0.922
O: 0.645 0.515 0.637
O: 0.484 0.626 0.860
O: 0.537 0.692 0.981
S: 0.372 0.324 0.083
Na: 0.336 0.683 0.164
O: 0.503 0.883 0.356
Na: 0.698 0.670 0.415
O: 0.182 0.030 0.587
Na: 0.317 0.664 0.664
O: 0.516 0.697 0.254
O: 0.642 0.129 0.147
Si: 0.041 0.369 0.919
O: 0.354 0.486 0.081
Ge: 0.367 0.687 0.313
O: 0.528 0.837 0.755
O: 0.707 0.183 0.026
Ge: 0.034 0.021 0.647
Na: 0.967 0.670 0.911
Si: 0.331 0.379 0.419
Si: 0.621 0.669 0.919
Ga: 0.662 0.330 0.186
O: 0.975 0.796 0.814
Ge: 0.700 0.354 0.980
O: 0.169 0.217 0.690
O: 0.486 0.162 0.245
O: 0.504 0.847 0.079
O: 0.117 0.497 0.856
Na: 0.301 0.337 0.577
Na: 0.663 0.699 0.077
Na: 0.634 0.004 0.244
Ga: 0.995 0.997 0.853
O: 0.694 0.513 0.244
O: 0.374 0.516 0.360
O: 0.783 0.831 0.190
O: 0.820 0.829 0.912
Ge: 0.979 0.966 0.147

***

3.
DFT (PBE-GGA) results for a relaxed YNi crystal.

Computed properties:
ΔH_f (0 K) (eV per atom): -0.4318
VASP energy (eV/f.u.): -13.1
SG: Pnma, No. 62

abc: 7.145 4.131 5.481
angles: 90.00 90.00 90.00
Fractional coordinates of all 8 atoms:
Y: 0.180 0.250 0.132
Y: 0.320 0.750 0.632
Y: 0.680 0.250 0.368
Y: 0.820 0.750 0.868
Ni: 0.036 0.250 0.623
Ni: 0.464 0.750 0.123
Ni: 0.536 0.250 0.877
Ni: 0.964 0.750 0.377

***

4.
DFT (PBE-GGA) results for a relaxed Ba3Sr crystal.

Computed properties:
ΔH_f (0 K) (eV per atom): 0.0016
ΔE to the lowest computed polymorph (kJ/mol of formula units): 0
VASP energy (eV/f.u.): -7.4
SG: Fm-3m, No. 225

abc: 7.048 7.048 7.048
angles: 60.00 60.00 60.00
Fractional coordinates of all 4 atoms:
Ba: 0.000 0.000 0.000
Ba: 0.250 0.250 0.250
Ba: 0.750 0.750 0.750
Sr: 0.500 0.500 0.500

***

5.
DFT (PBE-GGA) results for a relaxed Pt3Rh crystal.

Computed properties:
ΔH_f (0 K) (eV per atom): -0.0035
VASP energy (eV/f.u.): -25.6
SG: I4/mmm, No. 139

abc: 4.840 4.840 4.840
angles: 131.91 131.91 70.36
Fractional coordinates of all 4 atoms:
Pt: 0.000 0.000 0.000
Pt: 0.250 0.750 0.500
Pt: 0.750 0.250 0.500
Rh: 0.500 0.500 0.000

***

6.
DFT (PBE-GGA) results for a relaxed Y2Sc2TiCo10 crystal.

Computed properties:
ΔH_f (0 K) (eV per atom): -0.2260
VASP energy (eV/f.u.): -108.0
Size of the total moment (Bohr magnetons per cell): 0.04
SG: R3m, No. 160

abc: 20.510 20.510 20.510
angles: 13.83 13.83 13.83
Fractional coordinates of all 30 atoms:
Y: 0.000 0.000 0.000
Y: 0.199 0.199 0.199
Y: 0.400 0.400 0.400
Y: 0.599 0.599 0.599
Sc: 0.148 0.148 0.148
Sc: 0.549 0.549 0.549
Sc: 0.799 0.799 0.799
Sc: 0.950 0.950 0.950
Ti: 0.350 0.350 0.350
Ti: 0.751 0.751 0.751
Co: 0.074 0.074 0.576
Co: 0.074 0.576 0.074
Co: 0.075 0.075 0.075
Co: 0.172 0.674 0.674
Co: 0.275 0.275 0.275
Co: 0.275 0.275 0.774
Co: 0.275 0.774 0.275
Co: 0.376 0.874 0.874
Co: 0.473 0.473 0.979
Co: 0.473 0.979 0.473
Co: 0.474 0.474 0.474
Co: 0.576 0.074 0.074
Co: 0.674 0.172 0.674
Co: 0.674 0.674 0.172
Co: 0.675 0.675 0.675
Co: 0.774 0.275 0.275
Co: 0.874 0.376 0.874
Co: 0.874 0.874 0.376
Co: 0.874 0.874 0.874
Co: 0.979 0.473 0.473

***

7.
DFT (PBE-GGA) results for a relaxed CsPH3O4F crystal.

Computed properties:
ΔH_f (0 K) (eV per atom): -2.1448
VASP energy (eV/f.u.): -56.4
SG: Pbca, No. 61

abc: 7.970 9.599 15.126
angles: 90.00 90.00 90.00
Fractional coordinates of all 80 atoms:
Cs: 0.204 0.070 0.165
Cs: 0.204 0.430 0.665
Cs: 0.296 0.570 0.165
Cs: 0.296 0.930 0.665
Cs: 0.704 0.070 0.335
Cs: 0.704 0.430 0.835
Cs: 0.796 0.570 0.335
Cs: 0.796 0.930 0.835
P: 0.191 0.202 0.439
P: 0.191 0.298 0.939
P: 0.309 0.702 0.439
P: 0.309 0.798 0.939
P: 0.691 0.202 0.061
P: 0.691 0.298 0.561
P: 0.809 0.702 0.061
P: 0.809 0.798 0.561
H: 0.018 0.663 0.964
H: 0.018 0.837 0.464
H: 0.054 0.201 0.802
H: 0.054 0.299 0.302
H: 0.223 0.016 0.927
H: 0.223 0.484 0.427
H: 0.277 0.516 0.927
H: 0.277 0.984 0.427
H: 0.446 0.701 0.802
H: 0.446 0.799 0.302
H: 0.482 0.163 0.964
H: 0.482 0.337 0.464
H: 0.518 0.663 0.536
H: 0.518 0.837 0.036
H: 0.554 0.201 0.698
H: 0.554 0.299 0.198
H: 0.723 0.016 0.573
H: 0.723 0.484 0.073
H: 0.777 0.516 0.573
H: 0.777 0.984 0.073
H: 0.946 0.701 0.698
H: 0.946 0.799 0.198
H: 0.982 0.163 0.536
H: 0.982 0.337 0.036
O: 0.052 0.210 0.369
O: 0.052 0.290 0.869
O: 0.111 0.157 0.530
O: 0.111 0.343 0.030
O: 0.177 0.583 0.417
O: 0.177 0.917 0.917
O: 0.208 0.664 0.949
O: 0.208 0.836 0.449
O: 0.292 0.164 0.949
O: 0.292 0.336 0.449
O: 0.323 0.083 0.417
O: 0.323 0.417 0.917
O: 0.389 0.657 0.530
O: 0.389 0.843 0.030
O: 0.448 0.710 0.369
O: 0.448 0.790 0.869
O: 0.552 0.210 0.131
O: 0.552 0.290 0.631
O: 0.611 0.157 0.970
O: 0.611 0.343 0.470
O: 0.677 0.583 0.083
O: 0.677 0.917 0.583
O: 0.708 0.664 0.551
O: 0.708 0.836 0.051
O: 0.792 0.164 0.551
O: 0.792 0.336 0.051
O: 0.823 0.083 0.083
O: 0.823 0.417 0.583
O: 0.889 0.657 0.970
O: 0.889 0.843 0.470
O: 0.948 0.710 0.131
O: 0.948 0.790 0.631
F: 0.047 0.135 0.746
F: 0.047 0.365 0.246
F: 0.453 0.635 0.746
F: 0.453 0.865 0.246
F: 0.547 0.135 0.754
F: 0.547 0.365 0.254
F: 0.953 0.635 0.754
F: 0.953 0.865 0.254

***

8.
DFT (PBE-GGA) results for a relaxed MgSn2O4 crystal.

Computed properties:
ΔH_f (0 K) (eV per atom): -1.9631
ΔE to the lowest computed polymorph (kJ/mol of formula units): 123
VASP energy (eV/f.u.): -40.4
Size of the total moment (Bohr magnetons per cell): 0.00
SG: Imma, No. 74

abc: 6.630 6.630 6.630
angles: 121.94 119.80 88.51
Fractional coordinates of all 14 atoms:
Mg: 0.396 0.146 0.250
Mg: 0.604 0.854 0.750
Sn: 0.000 0.000 0.500
Sn: 0.000 0.500 0.000
Sn: 0.000 0.500 0.500
Sn: 0.500 0.500 0.000
O: 0.234 0.718 0.516
O: 0.258 0.280 0.522
O: 0.258 0.736 0.978
O: 0.298 0.282 0.016
O: 0.702 0.718 0.984
O: 0.742 0.264 0.022
O: 0.742 0.720 0.478
O: 0.766 0.282 0.484